1.
Entry from the Materials Project database: ZnCuGe2O6 after structural relaxation (PBE-GGA).

Mass density, g cm⁻³: 4.929
MP2020-corrected energy, Ry/atom: -0.454
Space-group type: C2/c
Energy, eV for the cell shown: -115.36
ΔH_f (0 K), eV per atom: -1.7509

abc: 7.038 7.038 5.406
angles: 74.81 74.81 86.09
Element x y z (fractional)
Zn1 0.763 0.237 0.750
Zn2 0.237 0.763 0.250
Cu1 0.107 0.893 0.750
Cu2 0.893 0.107 0.250
Ge1 0.209 0.387 0.757
Ge2 0.613 0.791 0.743
Ge3 0.791 0.613 0.243
Ge4 0.387 0.209 0.257
O1 0.404 0.304 0.524
O2 0.696 0.596 0.976
O3 0.596 0.696 0.476
O4 0.304 0.404 0.024
O5 0.623 0.134 0.115
O6 0.866 0.377 0.385
O7 0.377 0.866 0.885
O8 0.134 0.623 0.615
O9 0.021 0.202 0.880
O10 0.798 0.979 0.620
O11 0.979 0.798 0.120
O12 0.202 0.021 0.380

2.
Entry from the Materials Project database: ZnCuGe2O6 after structural relaxation (PBE-GGA).

Mass density, g cm⁻³: 5.043
MP2020-corrected energy, Ry/atom: -0.454
Space-group type: P2_1/c
Energy, eV for the cell shown: -230.56
ΔH_f (0 K), eV per atom: -1.7468

abc: 9.451 5.435 9.622
angles: 80.60 90.00 90.00
Element x y z (fractional)
Zn1 0.505 0.548 0.250
Zn2 0.005 0.952 0.750
Zn3 0.495 0.452 0.750
Zn4 0.995 0.048 0.250
Cu1 0.650 0.040 0.242
Cu2 0.150 0.460 0.758
Cu3 0.350 0.960 0.758
Cu4 0.850 0.540 0.242
Ge1 0.339 0.173 0.060
Ge2 0.839 0.327 0.940
Ge3 0.661 0.827 0.940
Ge4 0.161 0.673 0.060
Ge5 0.340 0.764 0.461
Ge6 0.840 0.736 0.539
Ge7 0.660 0.236 0.539
Ge8 0.160 0.264 0.461
O1 0.274 0.508 0.386
O2 0.774 0.992 0.614
O3 0.726 0.492 0.614
O4 0.226 0.008 0.386
O5 0.311 0.843 0.110
O6 0.811 0.657 0.890
O7 0.689 0.157 0.890
O8 0.189 0.343 0.110
O9 0.991 0.286 0.386
O10 0.491 0.214 0.614
O11 0.009 0.714 0.614
O12 0.509 0.786 0.386
O13 0.011 0.768 0.145
O14 0.511 0.732 0.855
O15 0.989 0.232 0.855
O16 0.489 0.268 0.145
O17 0.350 0.226 0.873
O18 0.850 0.274 0.127
O19 0.650 0.774 0.127
O20 0.150 0.726 0.873
O21 0.330 0.690 0.649
O22 0.830 0.810 0.351
O23 0.670 0.310 0.351
O24 0.170 0.190 0.649

3.
Entry from the Materials Project database: Zn3Cu2Ge3O12 after structural relaxation (PBE-GGA).

Mass density, g cm⁻³: 5.596
MP2020-corrected energy, Ry/atom: -0.429
Space-group type: Ia-3d
Energy, eV for the cell shown: -433.44
ΔH_f (0 K), eV per atom: -1.5691

abc: 10.417 10.417 10.417
angles: 109.47 109.47 109.47
Element x y z (fractional)
Zn1 0.250 0.875 0.625
Zn2 0.750 0.625 0.875
Zn3 0.625 0.875 0.750
Zn4 0.875 0.625 0.250
Zn5 0.625 0.250 0.875
Zn6 0.875 0.750 0.625
Zn7 0.750 0.125 0.375
Zn8 0.250 0.375 0.125
Zn9 0.375 0.125 0.250
Zn10 0.125 0.375 0.750
Zn11 0.375 0.750 0.125
Zn12 0.125 0.250 0.375
Cu1 0.500 0.500 0.500
Cu2 0.500 0.000 0.500
Cu3 0.000 0.500 0.500
Cu4 0.500 0.500 0.000
Cu5 0.000 0.000 0.500
Cu6 0.000 0.500 0.000
Cu7 0.500 0.000 0.000
Cu8 0.000 0.000 0.000
Ge1 0.125 0.750 0.875
Ge2 0.875 0.250 0.125
Ge3 0.625 0.375 0.250
Ge4 0.750 0.875 0.125
Ge5 0.875 0.125 0.750
Ge6 0.250 0.625 0.375
Ge7 0.750 0.375 0.625
Ge8 0.250 0.125 0.875
Ge9 0.125 0.875 0.250
Ge10 0.375 0.625 0.750
Ge11 0.625 0.750 0.375
Ge12 0.375 0.250 0.625
O1 0.420 0.820 0.791
O2 0.871 0.400 0.080
O3 0.100 0.972 0.680
O4 0.528 0.629 0.709
O5 0.680 0.080 0.709
O6 0.629 0.709 0.528
O7 0.629 0.420 0.100
O8 0.709 0.528 0.629
O9 0.820 0.528 0.400
O10 0.972 0.791 0.871
O11 0.791 0.871 0.972
O12 0.709 0.680 0.080
O13 0.420 0.100 0.629
O14 0.400 0.820 0.528
O15 0.080 0.709 0.680
O16 0.100 0.629 0.420
O17 0.528 0.400 0.820
O18 0.080 0.871 0.400
O19 0.972 0.680 0.100
O20 0.180 0.472 0.600
O21 0.680 0.100 0.972
O22 0.791 0.420 0.820
O23 0.400 0.080 0.871
O24 0.871 0.972 0.791
O25 0.580 0.180 0.209
O26 0.129 0.600 0.920
O27 0.900 0.028 0.320
O28 0.472 0.371 0.291
O29 0.320 0.920 0.291
O30 0.371 0.291 0.472
O31 0.371 0.580 0.900
O32 0.291 0.472 0.371
O33 0.129 0.028 0.209
O34 0.600 0.920 0.129
O35 0.209 0.580 0.180
O36 0.180 0.209 0.580
O37 0.320 0.900 0.028
O38 0.028 0.320 0.900
O39 0.920 0.129 0.600
O40 0.472 0.600 0.180
O41 0.900 0.371 0.580
O42 0.920 0.291 0.320
O43 0.600 0.180 0.472
O44 0.580 0.900 0.371
O45 0.291 0.320 0.920
O46 0.209 0.129 0.028
O47 0.028 0.209 0.129
O48 0.820 0.791 0.420